# 1
VASP calculation (GGA+U) on a geometry-optimized LiZn2Fe9O16 structure. Values from VASP.

Structure (Quantum ESPRESSO input):
```
&SYSTEM
  ibrav = 0, nat = 56, ntyp = 4
/
ATOMIC_SPECIES
Li 6.94 Li.upf
Zn 65.41 Zn.upf
Fe 55.84 Fe.upf
O 16.00 O.upf
ATOMIC_POSITIONS angstrom
Li 0.000 0.000 0.000
Li 0.046 0.041 14.720
Zn -0.012 0.024 5.465
Zn 1.479 0.880 2.984
Zn 0.030 3.530 10.431
Zn 1.523 4.401 7.958
Fe -2.988 1.788 15.310
Fe 0.049 0.029 11.112
Fe 0.060 3.529 1.159
Fe -1.494 2.631 12.936
Fe 0.016 1.774 7.956
Fe -1.499 4.402 7.957
Fe -2.971 3.574 17.838
Fe -1.395 0.863 17.839
Fe -0.058 3.495 4.859
Fe 3.032 1.744 0.513
Fe 0.040 3.521 16.009
Fe 3.068 1.802 6.099
Fe 1.529 0.860 17.840
Fe 4.553 0.872 3.005
Fe 3.018 3.542 2.996
Fe 1.572 2.632 12.923
Fe 3.067 0.045 12.930
Fe 3.015 1.767 9.750
O -1.551 2.600 1.813
O -0.068 -0.021 1.984
O -1.538 -0.860 11.769
O -2.983 1.782 11.712
O -4.402 2.598 16.614
O -2.966 0.137 16.597
O -1.411 0.911 6.790
O -2.961 3.602 6.786
O -1.627 0.990 14.040
O -2.992 3.361 14.048
O -1.611 4.378 4.207
O -0.063 1.707 4.210
O -2.947 1.770 18.900
O 0.065 0.055 9.151
O -1.432 2.689 9.124
O -1.329 -0.783 18.970
O -1.553 2.592 16.611
O 1.478 0.877 6.813
O -0.038 3.495 6.832
O 0.067 0.027 16.731
O 0.039 1.865 11.770
O 1.621 -0.865 11.789
O 3.072 0.121 1.744
O 1.647 2.615 1.742
O 2.982 -0.052 9.160
O 1.429 2.649 9.152
O 1.453 -0.782 18.976
O 0.080 1.599 18.993
O 0.036 3.533 14.043
O 1.517 4.403 4.167
O 3.048 1.792 4.142
O 1.705 0.994 14.040
CELL_PARAMETERS angstrom
6.045 0.000 0.000
-3.022 5.241 0.000
-2.935 -1.729 19.704
```

Summary:
Space-group type   P1, No. 1

=====

# 2
VASP calculation (GGA+U) on a geometry-optimized Ca3W2O9 structure. Values from VASP.

Structure (Quantum ESPRESSO input):
```
&SYSTEM
  ibrav = 0, nat = 28, ntyp = 3
/
ATOMIC_SPECIES
Ca 40.08 Ca.upf
W 183.84 W.upf
O 16.00 O.upf
ATOMIC_POSITIONS angstrom
Ca 0.000 0.000 0.000
Ca 0.000 3.896 0.000
Ca -1.989 1.948 6.468
Ca 2.005 1.948 2.059
Ca 2.326 5.843 6.186
Ca 6.321 5.843 1.776
W -1.702 5.843 5.833
W 2.576 5.843 2.252
W 1.755 1.948 5.993
W 6.034 1.948 2.411
O -1.953 5.843 4.051
O -2.469 4.347 6.563
O -2.469 7.339 6.563
O 1.044 1.948 0.070
O 1.603 4.347 1.847
O 1.603 7.340 1.847
O 0.074 5.843 6.128
O 1.300 1.948 4.246
O 0.226 1.948 6.944
O 4.105 5.843 1.301
O 3.031 5.843 3.999
O 4.258 1.948 2.117
O 2.728 0.452 6.397
O 2.728 3.444 6.397
O 3.287 5.843 8.175
O 6.801 0.452 1.682
O 6.801 3.444 1.682
O 6.284 1.948 4.194
CELL_PARAMETERS angstrom
8.572 0.000 0.000
0.000 7.791 0.000
-4.241 0.000 8.245
```

Summary:
Energy above the lowest structure with this stoichiometry   2 meV/atom
Space-group type   P2_1/m, No. 11

=====

# 3
VASP calculation (GGA+U) on a geometry-optimized Li4Co3O7 structure. Values from VASP.

Structure (Quantum ESPRESSO input):
```
&SYSTEM
  ibrav = 0, nat = 28, ntyp = 3
/
ATOMIC_SPECIES
Li 6.94 Li.upf
Co 58.93 Co.upf
O 16.00 O.upf
ATOMIC_POSITIONS angstrom
Li 0.000 0.000 0.000
Li 1.545 5.569 2.670
Li 1.625 3.690 0.543
Li 3.203 1.951 5.970
Li 3.323 0.110 3.782
Li 4.165 4.678 1.594
Li 5.743 2.939 7.022
Li 5.822 1.059 4.894
Co 2.350 4.775 5.463
Co 2.432 2.865 3.245
Co 2.481 0.934 1.044
Co 4.887 5.694 6.521
Co 4.936 3.763 4.319
Co 5.017 1.854 2.102
O 1.575 2.941 5.096
O 0.956 1.776 0.377
O 1.663 1.058 2.839
O 3.250 6.417 5.711
O 2.552 5.631 0.716
O 3.206 4.575 3.509
O 4.084 3.988 6.198
O 3.284 2.640 1.367
O 4.162 2.054 4.055
O 4.816 0.998 6.848
O 4.118 0.211 1.853
O 5.705 5.570 4.726
O 6.412 4.852 7.187
O 5.792 3.688 2.468
CELL_PARAMETERS angstrom
5.090 0.000 0.000
0.722 6.409 0.000
1.556 0.220 7.564
```

Summary:
Energy above the lowest structure with this stoichiometry   4 meV/atom
Space-group type   P-1, No. 2

=====

# 4
VASP calculation (GGA+U) on a geometry-optimized Li4Mn3Co3W2O16 structure. Values from VASP.

Structure (Quantum ESPRESSO input):
```
&SYSTEM
  ibrav = 0, nat = 28, ntyp = 5
/
ATOMIC_SPECIES
Li 6.94 Li.upf
Mn 54.94 Mn.upf
Co 58.93 Co.upf
W 183.84 W.upf
O 16.00 O.upf
ATOMIC_POSITIONS angstrom
Li 0.000 0.000 0.000
Li -0.106 0.000 4.874
Li 3.375 0.000 5.690
Li 6.963 0.000 0.762
Mn 1.688 0.000 2.699
Mn 5.917 1.446 7.591
Mn 5.917 -1.446 7.591
Co 4.301 1.364 2.640
Co 4.301 -1.364 2.640
Co 8.464 0.000 7.603
W 3.206 0.000 9.844
W 6.966 0.000 4.901
O -0.026 0.000 1.863
O -0.149 0.000 6.737
O 2.681 1.293 1.303
O 1.493 0.000 8.797
O 4.004 1.422 8.889
O 3.366 0.000 3.661
O 6.020 1.406 3.924
O 2.681 -1.293 1.303
O 5.017 0.000 1.274
O 7.597 1.318 6.182
O 5.293 0.000 6.325
O 4.004 -1.422 8.889
O 6.673 0.000 8.579
O 6.020 -1.406 3.924
O 8.553 0.000 3.900
O 7.597 -1.318 6.182
CELL_PARAMETERS angstrom
5.219 -2.950 0.000
5.219 2.950 0.000
-0.291 0.000 9.858
```

Summary:
Space-group type   Cm, No. 8

=====

| no. | energy of formation (kcal/mol of atoms) | raw total energy (eV per formula unit) | mass density (g/cm³) |
| --- | --- | --- | --- |
| 1 | -38.79 | -175.63 | 4.8 |
| 2 | -63.81 | -100.14 | 3.8 |
| 3 | -39.35 | -77.76 | 4.3 |
| 4 | -44.50 | -185.77 | 5.4 |